[1]
A geometry-optimized Sr2TaN3 structure, computed with PBE-GGA.

Structure (POSCAR):
```
Sr2TaN3
1.0
3.0375 -5.6748 0.0000
3.0375 5.6748 0.0000
-0.4656 0.0000 12.6674
Sr Ta N
8 4 12
Direct
0.0465 0.4479 0.8606
0.1129 0.3448 0.4232
0.3448 0.1129 0.9232
0.4479 0.0465 0.3606
0.5521 0.9535 0.6394
0.6552 0.8871 0.0768
0.8871 0.6552 0.5768
0.9535 0.5521 0.1394
0.2633 0.2676 0.6637
0.2676 0.2633 0.1637
0.7324 0.7367 0.8363
0.7367 0.7324 0.3363
0.0016 0.9984 0.2500
0.1159 0.3037 0.0415
0.1678 0.4933 0.6240
0.3037 0.1159 0.5415
0.4186 0.5814 0.2500
0.4933 0.1678 0.1240
0.5067 0.8322 0.8760
0.5814 0.4186 0.7500
0.6963 0.8842 0.4585
0.8322 0.5067 0.3760
0.8841 0.6963 0.9585
0.9984 0.0016 0.7500
```

Properties
* uncorrected energy: -47.1 eV/f.u.
* ΔH_f (0 K): -1.3205 eV/atom
* density: 6.057 Mg/m³
* space-group type: C2/c

[2]
A geometry-optimized Sr3TaN3 structure, computed with PBE-GGA.

Structure (POSCAR):
```
Sr3TaN3
1.0
7.9561 0.0000 0.0000
-3.9781 6.8902 0.0000
0.0000 0.0000 5.5188
Sr Ta N
6 2 6
Direct
0.1198 0.3565 0.2500
0.2367 0.8802 0.2500
0.3565 0.2367 0.7500
0.6435 0.7633 0.2500
0.7633 0.1198 0.7500
0.8802 0.6435 0.7500
0.3333 0.6667 0.7500
0.6667 0.3333 0.2500
0.1376 0.3911 0.7500
0.2535 0.8624 0.7500
0.3911 0.2535 0.2500
0.6089 0.7465 0.7500
0.7465 0.1376 0.2500
0.8624 0.6089 0.2500
```

Properties
* uncorrected energy: -48.2 eV/f.u.
* ΔH_f (0 K): -1.0481 eV/atom
* density: 5.333 Mg/m³
* space-group type: P6_3/m

Corrected total energy (MP2020 scheme) list, top to bottom, in eV/cell: -192.7; -98.5